Entry 1:
The following is a DFT calculation (r²SCAN) of crystalline Hf2N2O at its relaxed geometry.

ρ = 10.6 Mg/m³
Formation energy = -2.57 eV per atom
E_tot = -25.48 eV/atom
Total moment = 0.000 μB per atom

Geometry as CIF:
```
data_Hf2N2O
_cell_length_a 8.6521
_cell_length_b 8.6741
_cell_length_c 8.6816
_cell_angle_alpha 109.56
_cell_angle_beta 109.34
_cell_angle_gamma 109.33
_symmetry_space_group_name_H-M 'P 1'
_symmetry_Int_Tables_number 1
loop_
_symmetry_equiv_pos_as_xyz
'x,y,z'
loop_
_atom_site_label
_atom_site_fract_x
_atom_site_fract_y
_atom_site_fract_z
Hf1 0.0000 0.0000 0.0000
Hf2 0.0004 0.4916 0.4922
Hf3 0.0370 0.7439 0.2162
Hf4 0.2190 0.9602 0.6692
Hf5 0.2470 0.1959 0.4624
Hf6 0.2618 0.7091 0.9714
Hf7 0.2956 0.4687 0.2469
Hf8 0.4782 0.6836 0.7168
Hf9 0.5046 0.4325 0.9335
Hf10 0.5064 0.9263 0.4261
Hf11 0.5471 0.2435 0.2115
Hf12 0.7190 0.9615 0.1765
Hf13 0.7479 0.7150 0.4526
Hf14 0.7666 0.2155 0.9616
Hf15 0.7901 0.4543 0.7490
Hf16 0.9701 0.1833 0.7105
N1 0.0260 0.4435 0.7212
N2 0.0299 0.2528 0.9959
N3 0.2241 0.2209 0.7024
N4 0.2391 0.6622 0.1839
N5 0.3021 0.9860 0.4770
N6 0.4758 0.9846 0.1958
N7 0.4908 0.6743 0.9685
N8 0.5163 0.4789 0.1885
N9 0.5267 0.7193 0.5060
N10 0.7077 0.1799 0.6891
N11 0.7219 0.9383 0.9141
N12 0.7703 0.9494 0.4285
N13 0.7838 0.4855 0.0022
N14 0.8015 0.2512 0.2364
N15 0.9846 0.6998 0.4228
N16 0.9876 0.9759 0.2339
O1 0.0178 0.7496 0.9459
O2 0.2105 0.4399 0.4552
O3 0.2748 0.7609 0.7337
O4 0.2938 0.2072 0.2330
O5 0.4779 0.1554 0.9278
O6 0.5274 0.4517 0.6784
O7 0.7388 0.4704 0.4969
O8 0.9931 0.9321 0.7364
```

---

Entry 2:
The following is a DFT calculation (r²SCAN) of crystalline Hf2N2O at its relaxed geometry.

ρ = 10.6 Mg/m³
Formation energy = -2.57 eV per atom
E_tot = -25.47 eV/atom
Total moment = 0.000 μB per atom

Geometry as CIF:
```
data_Hf2N2O
_cell_length_a 8.6288
_cell_length_b 8.6708
_cell_length_c 8.6920
_cell_angle_alpha 109.47
_cell_angle_beta 109.32
_cell_angle_gamma 109.30
_symmetry_space_group_name_H-M 'P 1'
_symmetry_Int_Tables_number 1
loop_
_symmetry_equiv_pos_as_xyz
'x,y,z'
loop_
_atom_site_label
_atom_site_fract_x
_atom_site_fract_y
_atom_site_fract_z
Hf1 0.0000 0.0000 0.0000
Hf2 0.0043 0.5070 0.5078
Hf3 0.0394 0.3326 0.7855
Hf4 0.2181 0.0404 0.7498
Hf5 0.2384 0.7842 0.0247
Hf6 0.2496 0.2926 0.5458
Hf7 0.2898 0.5451 0.3198
Hf8 0.4620 0.2611 0.2846
Hf9 0.4904 0.0799 0.5676
Hf10 0.4962 0.5778 0.0698
Hf11 0.5248 0.8198 0.7843
Hf12 0.7156 0.0341 0.2494
Hf13 0.7382 0.2936 0.0265
Hf14 0.7532 0.7840 0.5306
Hf15 0.7808 0.5515 0.8207
Hf16 0.9599 0.7582 0.2856
N1 0.0085 0.5643 0.7634
N2 0.0219 0.8088 0.0835
N3 0.2163 0.0185 0.4861
N4 0.2332 0.5555 0.0731
N5 0.2601 0.0365 0.0046
N6 0.2817 0.5674 0.5752
N7 0.2912 0.3246 0.8067
N8 0.4789 0.7853 0.9915
N9 0.4820 0.0550 0.8071
N10 0.5218 0.5194 0.3031
N11 0.5232 0.3346 0.5657
N12 0.7028 0.5144 0.0229
N13 0.7369 0.7558 0.7656
N14 0.7603 0.8386 0.3101
N15 0.9733 0.2472 0.4992
N16 0.9866 0.7566 0.5462
O1 0.0143 0.5197 0.2585
O2 0.1990 0.2596 0.2594
O3 0.4973 0.0227 0.3121
O4 0.5065 0.8283 0.5126
O5 0.7082 0.2981 0.2642
O6 0.7874 0.2777 0.8026
O7 0.8067 0.0776 0.0593
O8 0.9694 0.0656 0.7703
```

---

Entry 3:
The following is a DFT calculation (r²SCAN) of crystalline Hf2N2O at its relaxed geometry.

ρ = 10.6 Mg/m³
Formation energy = -2.57 eV per atom
E_tot = -25.47 eV/atom
Total moment = 0.000 μB per atom

Geometry as CIF:
```
data_Hf2N2O
_cell_length_a 8.6542
_cell_length_b 8.6654
_cell_length_c 8.6844
_cell_angle_alpha 109.47
_cell_angle_beta 109.42
_cell_angle_gamma 109.32
_symmetry_space_group_name_H-M 'P 1'
_symmetry_Int_Tables_number 1
loop_
_symmetry_equiv_pos_as_xyz
'x,y,z'
loop_
_atom_site_label
_atom_site_fract_x
_atom_site_fract_y
_atom_site_fract_z
Hf1 0.0000 0.0000 0.0000
Hf2 0.0001 0.4891 0.4976
Hf3 0.0418 0.7484 0.2736
Hf4 0.2102 0.4550 0.2374
Hf5 0.2381 0.7647 0.0174
Hf6 0.2466 0.2774 0.5199
Hf7 0.2752 0.0193 0.7241
Hf8 0.4667 0.2470 0.2109
Hf9 0.4863 0.4878 0.9698
Hf10 0.4920 0.9803 0.4900
Hf11 0.5264 0.7387 0.7752
Hf12 0.7126 0.9551 0.2416
Hf13 0.7491 0.1964 0.9528
Hf14 0.7542 0.7077 0.4564
Hf15 0.7827 0.5268 0.7390
Hf16 0.9650 0.2362 0.6992
N1 0.0032 0.2292 0.9537
N2 0.0285 0.7653 0.5333
N3 0.0413 0.5224 0.7610
N4 0.2267 0.2518 0.7641
N5 0.2420 0.2185 0.2577
N6 0.2588 0.0236 0.4722
N7 0.2688 0.5395 0.5190
N8 0.2714 0.7160 0.2484
N9 0.4525 0.7177 0.9796
N10 0.4902 0.9524 0.7185
N11 0.5350 0.4815 0.7525
N12 0.7191 0.4442 0.4536
N13 0.7318 0.9518 0.4962
N14 0.7717 0.0010 0.0341
N15 0.9603 0.2164 0.4380
N16 0.9825 0.7546 0.0223
O1 0.2322 0.9794 0.9444
O2 0.4635 0.5004 0.2222
O3 0.5089 0.0380 0.2580
O4 0.5480 0.2685 0.0079
O5 0.7213 0.2630 0.7230
O6 0.7628 0.7650 0.7150
O7 0.7656 0.7227 0.2144
O8 0.9465 0.4549 0.2119
```

---

Entry 4:
The following is a DFT calculation (r²SCAN) of crystalline Hf2N2O at its relaxed geometry.

ρ = 10.6 Mg/m³
Formation energy = -2.56 eV per atom
E_tot = -25.47 eV/atom
Total moment = 0.000 μB per atom

Geometry as CIF:
```
data_Hf2N2O
_cell_length_a 8.6509
_cell_length_b 8.6691
_cell_length_c 8.6844
_cell_angle_alpha 109.54
_cell_angle_beta 109.34
_cell_angle_gamma 109.39
_symmetry_space_group_name_H-M 'P 1'
_symmetry_Int_Tables_number 1
loop_
_symmetry_equiv_pos_as_xyz
'x,y,z'
loop_
_atom_site_label
_atom_site_fract_x
_atom_site_fract_y
_atom_site_fract_z
Hf1 0.0000 0.0000 0.0000
Hf2 0.9998 0.4889 0.4987
Hf3 0.0291 0.2833 0.7457
Hf4 0.2053 0.7495 0.9658
Hf5 0.2463 0.9708 0.7135
Hf6 0.2501 0.4695 0.2121
Hf7 0.2861 0.2488 0.5404
Hf8 0.4605 0.2110 0.2469
Hf9 0.4816 0.4916 0.9936
Hf10 0.4979 0.9964 0.4856
Hf11 0.5313 0.7783 0.7505
Hf12 0.7048 0.7462 0.4637
Hf13 0.7446 0.5276 0.7825
Hf14 0.7495 0.0299 0.2834
Hf15 0.7927 0.2462 0.0334
Hf16 0.9744 0.7171 0.2518
N1 0.0024 0.7681 0.0429
N2 0.0339 0.2615 0.4804
N3 0.0373 0.5093 0.2702
N4 0.2243 0.9608 0.4552
N5 0.2330 0.0071 0.9620
N6 0.2616 0.2275 0.7720
N7 0.2728 0.5476 0.0131
N8 0.4542 0.7257 0.4726
N9 0.4672 0.9527 0.2244
N10 0.4908 0.5386 0.7657
N11 0.5127 0.4627 0.2368
N12 0.5415 0.2702 0.5301
N13 0.7564 0.9851 0.0309
N14 0.7712 0.0270 0.5412
N15 0.9523 0.4899 0.7213
N16 0.9848 0.2234 0.9529
O1 0.2231 0.2314 0.2675
O2 0.2681 0.7259 0.7286
O3 0.5283 0.0490 0.7799
O4 0.7200 0.4440 0.9806
O5 0.7273 0.2718 0.2651
O6 0.7429 0.7684 0.2293
O7 0.7744 0.7600 0.7250
O8 0.9625 0.7399 0.5173
```

---

Entry 5:
The following is a DFT calculation (r²SCAN) of crystalline Hf2N2O at its relaxed geometry.

ρ = 10.6 Mg/m³
Formation energy = -2.57 eV per atom
E_tot = -25.48 eV/atom
Total moment = 0.000 μB per atom

Geometry as CIF:
```
data_Hf2N2O
_cell_length_a 8.6529
_cell_length_b 8.6683
_cell_length_c 8.6771
_cell_angle_alpha 109.33
_cell_angle_beta 109.46
_cell_angle_gamma 109.39
_symmetry_space_group_name_H-M 'P 1'
_symmetry_Int_Tables_number 1
loop_
_symmetry_equiv_pos_as_xyz
'x,y,z'
loop_
_atom_site_label
_atom_site_fract_x
_atom_site_fract_y
_atom_site_fract_z
Hf1 0.0000 0.0000 0.0000
Hf2 0.0069 0.5068 0.5066
Hf3 0.0380 0.2154 0.7427
Hf4 0.2215 0.6913 0.9658
Hf5 0.2520 0.9755 0.7242
Hf6 0.2620 0.4860 0.2326
Hf7 0.2793 0.2517 0.4631
Hf8 0.4708 0.7241 0.6826
Hf9 0.5064 0.9353 0.4243
Hf10 0.5073 0.4300 0.9299
Hf11 0.5478 0.2246 0.2489
Hf12 0.7215 0.1905 0.9713
Hf13 0.7575 0.9812 0.2171
Hf14 0.7704 0.4786 0.7200
Hf15 0.7899 0.7612 0.4734
Hf16 0.9732 0.7200 0.1740
N1 0.0176 0.9603 0.7510
N2 0.0298 0.0041 0.2617
N3 0.2101 0.4561 0.4415
N4 0.2183 0.7065 0.2275
N5 0.2490 0.2063 0.6753
N6 0.2689 0.7484 0.7593
N7 0.4807 0.2085 0.9879
N8 0.4838 0.9417 0.1740
N9 0.5273 0.7022 0.4547
N10 0.7217 0.9261 0.9387
N11 0.7436 0.5059 0.4778
N12 0.7643 0.4366 0.9518
N13 0.7909 0.0184 0.4876
N14 0.8042 0.2463 0.2481
N15 0.9861 0.4277 0.7087
N16 0.9937 0.7443 0.9409
O1 0.0265 0.7376 0.4422
O2 0.2910 0.2347 0.2038
O3 0.3078 0.4853 0.9961
O4 0.4932 0.9870 0.6785
O5 0.5113 0.1999 0.4901
O6 0.5296 0.5194 0.7283
O7 0.7064 0.6952 0.1813
O8 0.9892 0.2487 0.9802
```

---

Entry 6:
The following is a DFT calculation (r²SCAN) of crystalline Hf2N2O at its relaxed geometry.

ρ = 10.6 Mg/m³
Formation energy = -2.57 eV per atom
E_tot = -25.48 eV/atom
Total moment = 0.000 μB per atom

Geometry as CIF:
```
data_Hf2N2O
_cell_length_a 8.6626
_cell_length_b 8.6667
_cell_length_c 8.6687
_cell_angle_alpha 109.37
_cell_angle_beta 109.34
_cell_angle_gamma 109.49
_symmetry_space_group_name_H-M 'P 1'
_symmetry_Int_Tables_number 1
loop_
_symmetry_equiv_pos_as_xyz
'x,y,z'
loop_
_atom_site_label
_atom_site_fract_x
_atom_site_fract_y
_atom_site_fract_z
Hf1 0.0000 0.0000 0.0000
Hf2 0.0032 0.5173 0.5025
Hf3 0.0272 0.2868 0.7401
Hf4 0.2071 0.7484 0.9544
Hf5 0.2369 0.9640 0.6991
Hf6 0.2468 0.4742 0.2131
Hf7 0.2791 0.2471 0.5220
Hf8 0.4469 0.2073 0.2295
Hf9 0.4795 0.4894 0.9707
Hf10 0.4893 0.9893 0.4807
Hf11 0.5255 0.7818 0.7430
Hf12 0.7123 0.7578 0.4597
Hf13 0.7368 0.0315 0.2715
Hf14 0.7499 0.5365 0.7863
Hf15 0.7833 0.2547 0.0309
Hf16 0.9611 0.7104 0.2403
N1 0.9996 0.7732 0.0329
N2 0.0355 0.5054 0.2600
N3 0.2218 0.2404 0.2620
N4 0.2240 0.9654 0.4425
N5 0.2326 0.0174 0.9561
N6 0.2505 0.2285 0.7580
N7 0.2672 0.5458 0.0073
N8 0.2669 0.7296 0.7270
N9 0.4517 0.7271 0.4591
N10 0.4634 0.9606 0.2196
N11 0.4852 0.5336 0.7486
N12 0.7157 0.4491 0.9778
N13 0.7531 0.9895 0.0243
N14 0.7698 0.0331 0.5362
N15 0.9419 0.4832 0.7106
N16 0.9559 0.7377 0.5004
O1 0.0251 0.2604 0.4739
O2 0.5146 0.4666 0.2306
O3 0.5311 0.0497 0.7619
O4 0.5378 0.2718 0.5239
O5 0.7206 0.2738 0.2530
O6 0.7270 0.7713 0.2173
O7 0.7704 0.7655 0.7176
O8 0.9746 0.2248 0.9389
```

---

Entry 7:
The following is a DFT calculation (r²SCAN) of crystalline Hf2N2O at its relaxed geometry.

ρ = 10.6 Mg/m³
Formation energy = -2.57 eV per atom
E_tot = -25.48 eV/atom
Total moment = 0.000 μB per atom

Geometry as CIF:
```
data_Hf2N2O
_cell_length_a 8.6709
_cell_length_b 8.6727
_cell_length_c 8.6770
_cell_angle_alpha 109.40
_cell_angle_beta 109.60
_cell_angle_gamma 109.39
_symmetry_space_group_name_H-M 'P 1'
_symmetry_Int_Tables_number 1
loop_
_symmetry_equiv_pos_as_xyz
'x,y,z'
loop_
_atom_site_label
_atom_site_fract_x
_atom_site_fract_y
_atom_site_fract_z
Hf1 0.0000 0.0000 0.0000
Hf2 0.0001 0.4940 0.4992
Hf3 0.0348 0.2880 0.8215
Hf4 0.2211 0.2515 0.5470
Hf5 0.2444 0.0433 0.7884
Hf6 0.2505 0.5455 0.2970
Hf7 0.2868 0.8204 0.0446
Hf8 0.4684 0.7774 0.7446
Hf9 0.4993 0.0702 0.5716
Hf10 0.4994 0.5717 0.0777
Hf11 0.5286 0.2719 0.3166
Hf12 0.7195 0.7587 0.5461
Hf13 0.7375 0.5230 0.7871
Hf14 0.7524 0.0431 0.3018
Hf15 0.7843 0.3281 0.0430
Hf16 0.9608 0.7829 0.2597
N1 0.0222 0.5778 0.2968
N2 0.2144 0.9885 0.5176
N3 0.2384 0.5706 0.0536
N4 0.2616 0.5024 0.5292
N5 0.2817 0.0786 0.0620
N6 0.3010 0.3087 0.8274
N7 0.4800 0.3106 0.5487
N8 0.4900 0.8066 0.5174
N9 0.5104 0.0181 0.3215
N10 0.7026 0.5237 0.0147
N11 0.7171 0.7725 0.8062
N12 0.7374 0.2603 0.2428
N13 0.7600 0.8073 0.3340
N14 0.7832 0.2941 0.7828
N15 0.9774 0.0030 0.7470
N16 0.9768 0.2713 0.5606
O1 0.0150 0.2601 0.0695
O2 0.0247 0.7663 0.0307
O3 0.2044 0.7602 0.7583
O4 0.4802 0.4886 0.2792
O5 0.5177 0.7956 0.0142
O6 0.5198 0.0633 0.8366
O7 0.8021 0.5527 0.5652
O8 0.9860 0.0440 0.2506
```

---

Entry 8:
The following is a DFT calculation (r²SCAN) of crystalline Hf2N2O at its relaxed geometry.

ρ = 10.6 Mg/m³
Formation energy = -2.57 eV per atom
E_tot = -25.48 eV/atom
Total moment = 0.000 μB per atom

Geometry as CIF:
```
data_Hf2N2O
_cell_length_a 8.6607
_cell_length_b 8.6643
_cell_length_c 8.6805
_cell_angle_alpha 109.47
_cell_angle_beta 109.54
_cell_angle_gamma 109.30
_symmetry_space_group_name_H-M 'P 1'
_symmetry_Int_Tables_number 1
loop_
_symmetry_equiv_pos_as_xyz
'x,y,z'
loop_
_atom_site_label
_atom_site_fract_x
_atom_site_fract_y
_atom_site_fract_z
Hf1 0.0000 0.0000 0.0000
Hf2 0.0054 0.5149 0.4903
Hf3 0.0401 0.7624 0.2884
Hf4 0.2226 0.9675 0.7479
Hf5 0.2572 0.2164 0.4663
Hf6 0.2635 0.7294 0.9617
Hf7 0.2891 0.5425 0.2422
Hf8 0.4770 0.2585 0.2201
Hf9 0.5119 0.5195 0.0133
Hf10 0.5193 0.0269 0.5100
Hf11 0.5480 0.7701 0.7933
Hf12 0.7217 0.4790 0.7543
Hf13 0.7544 0.7898 0.5289
Hf14 0.7643 0.3008 0.0401
Hf15 0.7882 0.0430 0.2469
Hf16 0.9688 0.2587 0.7176
N1 0.0012 0.9726 0.2314
N2 0.0456 0.5009 0.2641
N3 0.2314 0.4640 0.9658
N4 0.2476 0.9782 0.0149
N5 0.2789 0.7455 0.7253
N6 0.2854 0.0256 0.5518
N7 0.5142 0.2512 0.4677
N8 0.5418 0.7822 0.0446
N9 0.5498 0.5423 0.2738
N10 0.7357 0.2736 0.2746
N11 0.7381 0.9992 0.4578
N12 0.7502 0.2407 0.7738
N13 0.7675 0.0446 0.9836
N14 0.7774 0.5586 0.0345
N15 0.7799 0.7368 0.7599
N16 0.9632 0.7409 0.4923
O1 0.0225 0.0606 0.7775
O2 0.0601 0.2907 0.5199
O3 0.2317 0.2857 0.2385
O4 0.2731 0.7840 0.2308
O5 0.4579 0.4739 0.7275
O6 0.4718 0.2390 0.9534
O7 0.4909 0.7714 0.5318
O8 0.9711 0.5182 0.7355
```

---

Entry 9:
The following is a DFT calculation (r²SCAN) of crystalline Hf2N2O at its relaxed geometry.

ρ = 10.6 Mg/m³
Formation energy = -2.56 eV per atom
E_tot = -25.47 eV/atom
Total moment = 0.000 μB per atom

Geometry as CIF:
```
data_Hf2N2O
_cell_length_a 8.6375
_cell_length_b 8.6744
_cell_length_c 8.6916
_cell_angle_alpha 109.65
_cell_angle_beta 109.21
_cell_angle_gamma 109.38
_symmetry_space_group_name_H-M 'P 1'
_symmetry_Int_Tables_number 1
loop_
_symmetry_equiv_pos_as_xyz
'x,y,z'
loop_
_atom_site_label
_atom_site_fract_x
_atom_site_fract_y
_atom_site_fract_z
Hf1 0.0000 0.0000 0.0000
Hf2 0.9995 0.4883 0.4977
Hf3 0.0325 0.2849 0.7477
Hf4 0.2067 0.7491 0.9652
Hf5 0.2433 0.4685 0.2108
Hf6 0.2460 0.9709 0.7130
Hf7 0.2848 0.2476 0.5401
Hf8 0.4619 0.2049 0.2470
Hf9 0.4893 0.5024 0.9928
Hf10 0.4970 0.9963 0.4869
Hf11 0.5330 0.7793 0.7486
Hf12 0.7111 0.7551 0.4628
Hf13 0.7470 0.5284 0.7815
Hf14 0.7505 0.0223 0.2823
Hf15 0.7915 0.2457 0.0320
Hf16 0.9704 0.7188 0.2495
N1 0.0033 0.7682 0.0418
N2 0.0331 0.2601 0.4791
N3 0.0368 0.5081 0.2689
N4 0.2241 0.9611 0.4552
N5 0.2355 0.0079 0.9634
N6 0.2633 0.2283 0.7729
N7 0.2745 0.5484 0.0158
N8 0.4561 0.7231 0.4687
N9 0.4679 0.9541 0.2257
N10 0.4906 0.5393 0.7655
N11 0.5415 0.2705 0.5290
N12 0.7386 0.7639 0.2288
N13 0.7554 0.9874 0.0290
N14 0.7725 0.0302 0.5471
N15 0.9543 0.4902 0.7220
N16 0.9857 0.2235 0.9530
O1 0.2265 0.2351 0.2673
O2 0.2690 0.7253 0.7275
O3 0.5080 0.4573 0.2342
O4 0.5277 0.0466 0.7760
O5 0.7180 0.4398 0.9751
O6 0.7252 0.2796 0.2642
O7 0.7756 0.7608 0.7262
O8 0.9641 0.7390 0.5215
```

---

Which formula does entry 3 have?
Hf2N2O

---

What is the ρ in the second record?
10.6 Mg/m³